1.
The following is a GGA+U calculation of crystalline Li3Mn2FeB3O9 at its relaxed geometry, from the Materials Project database.

POSCAR file:
```
Li3Mn2FeB3O9
1.0
3.1734 0.0000 0.0000
0.0000 8.2709 0.0000
0.0000 0.0410 14.3246
B O Li Mn Fe
6 18 6 4 2
Direct
0.5000 0.5022 0.8326 B
0.0000 0.9980 0.9995 B
0.5000 0.9979 0.6667 B
0.5000 0.4999 0.1667 B
0.0000 0.5015 0.4992 B
0.5000 0.9994 0.3351 B
0.5000 0.9853 0.5697 O
0.0000 0.8447 0.0396 O
0.5000 0.9848 0.2380 O
0.0000 0.5185 0.4026 O
0.0000 0.0138 0.9023 O
0.5000 0.4862 0.7358 O
0.5000 0.6550 0.8729 O
0.0000 0.6391 0.5555 O
0.0000 0.1351 0.0560 O
0.5000 0.4904 0.0698 O
0.5000 0.1527 0.3753 O
0.5000 0.8593 0.7221 O
0.5000 0.3590 0.2198 O
0.5000 0.6497 0.2103 O
0.0000 0.3478 0.5397 O
0.5000 0.3634 0.8885 O
0.5000 0.8626 0.3918 O
0.5000 0.1494 0.7084 O
0.5000 0.6349 0.3501 Li
0.5000 0.2071 0.5092 Li
0.5000 0.6616 0.6415 Li
0.5000 0.1320 0.8485 Li
0.5000 0.1583 0.1421 Li
0.5000 0.7077 0.0075 Li
0.0000 0.3662 0.9940 Mn
0.0000 0.3262 0.6857 Mn
0.0000 0.8258 0.1861 Mn
0.0000 0.3087 0.3205 Mn
0.0000 0.8629 0.4963 Fe
0.0000 0.8127 0.8205 Fe
```

## Properties
Magnetization ... 28.00 μB/cell
Calculated volume ... 375.98 Å³ per cell
Energy ... -7.189 eV per atom
Space group ... No. 6
Relative energy among the computed polymorphs ... 2 meV per atom

2.
The following is a GGA+U calculation of crystalline Na6Cr2B4SO16 at its relaxed geometry, from the Materials Project database.

POSCAR file:
```
Na6Cr2B4SO16
1.0
0.0000 7.0218 7.0218
7.0218 0.0000 7.0218
7.0218 7.0218 0.0000
O B Cr Na S
32 8 4 12 2
Direct
0.3041 0.9831 0.4917 O
0.2669 0.7583 0.9459 O
0.3153 0.5616 0.5616 O
0.0290 0.7583 0.2669 O
0.9347 0.6884 0.6884 O
0.4917 0.3041 0.9831 O
0.7583 0.0290 0.9459 O
0.2210 0.9831 0.3041 O
0.6884 0.6884 0.6884 O
0.2669 0.9459 0.0290 O
0.9831 0.3041 0.2210 O
0.0290 0.9459 0.7583 O
0.6884 0.6884 0.9347 O
0.9459 0.0290 0.2669 O
0.5616 0.3153 0.5616 O
0.2210 0.4917 0.9831 O
0.4917 0.2210 0.3041 O
0.3041 0.2210 0.9831 O
0.2669 0.0290 0.7583 O
0.0290 0.2669 0.9459 O
0.9459 0.2669 0.7583 O
0.7583 0.9459 0.2669 O
0.9459 0.7583 0.0290 O
0.2210 0.3041 0.4917 O
0.9831 0.2210 0.4917 O
0.3041 0.4917 0.2210 O
0.7583 0.2669 0.0290 O
0.5616 0.5616 0.5616 O
0.9831 0.4917 0.3041 O
0.6884 0.9347 0.6884 O
0.5616 0.5616 0.3153 O
0.4917 0.9831 0.2210 O
0.2607 0.9131 0.9131 B
0.9131 0.9131 0.9131 B
0.3369 0.3369 0.3369 B
0.9893 0.3369 0.3369 B
0.9131 0.9131 0.2607 B
0.3369 0.9893 0.3369 B
0.3369 0.3369 0.9893 B
0.9131 0.2607 0.9131 B
0.1250 0.1250 0.1250 Cr
0.1250 0.1250 0.6250 Cr
0.6250 0.1250 0.1250 Cr
0.1250 0.6250 0.1250 Cr
0.9687 0.5313 0.9687 Na
0.7187 0.2813 0.7187 Na
0.5313 0.5313 0.9687 Na
0.2813 0.2813 0.7187 Na
0.9687 0.5313 0.5313 Na
0.5313 0.9687 0.5313 Na
0.2813 0.7187 0.2813 Na
0.7187 0.2813 0.2813 Na
0.2813 0.7187 0.7187 Na
0.7187 0.7187 0.2813 Na
0.9687 0.9687 0.5313 Na
0.5313 0.9687 0.9687 Na
0.5000 0.5000 0.5000 S
0.7500 0.7500 0.7500 S
```

## Properties
Magnetization ... 8.01 μB/cell
Calculated volume ... 692.43 Å³ per cell
Energy ... -6.594 eV per atom
Space group ... No. 203

3.
The following is a GGA+U calculation of crystalline SrCrSi4O10 at its relaxed geometry, from the Materials Project database.

POSCAR file:
```
SrCrSi4O10
1.0
-1.8054 5.2090 -5.1708
-2.6962 -5.4233 -4.5220
-14.3197 1.6034 6.6150
O Cr Si Sr
40 4 16 4
Direct
0.7472 0.9603 0.3676 O
0.7127 0.2873 0.7500 O
0.9603 0.7472 0.1324 O
0.2527 0.0397 0.3676 O
0.6181 0.2423 0.5866 O
0.4603 0.2472 0.8676 O
0.2577 0.1181 0.5866 O
0.2873 0.7127 0.7500 O
0.7873 0.7873 0.7500 O
0.2472 0.5397 0.1324 O
0.2423 0.6181 0.9134 O
0.7423 0.8819 0.5866 O
0.0397 0.2527 0.1324 O
0.4603 0.7528 0.3676 O
0.2873 0.2873 0.2500 O
0.7472 0.0397 0.8676 O
0.5397 0.2472 0.3676 O
0.1181 0.2577 0.9134 O
0.2527 0.9603 0.8676 O
0.9603 0.2527 0.6324 O
0.8819 0.7423 0.9134 O
0.5397 0.7528 0.8676 O
0.0397 0.7472 0.6324 O
0.8819 0.2577 0.4134 O
0.6181 0.7577 0.0866 O
0.7577 0.3819 0.9134 O
0.3819 0.2423 0.0866 O
0.7127 0.7127 0.2500 O
0.1181 0.7423 0.4134 O
0.7528 0.4603 0.1324 O
0.7577 0.6181 0.4134 O
0.7423 0.1181 0.0866 O
0.2127 0.2127 0.7500 O
0.2127 0.7873 0.2500 O
0.3819 0.7577 0.5866 O
0.7528 0.5397 0.6324 O
0.2577 0.8819 0.0866 O
0.2472 0.4603 0.6324 O
0.7873 0.2127 0.2500 O
0.2423 0.3819 0.4134 O
0.0000 0.5000 0.9126 Cr
0.0000 0.5000 0.4126 Cr
0.5000 0.0000 0.0874 Cr
0.5000 0.0000 0.5874 Cr
0.7586 0.6753 0.1514 Si
0.8247 0.2586 0.1514 Si
0.2586 0.8247 0.3486 Si
0.8247 0.7414 0.6514 Si
0.3247 0.2414 0.3486 Si
0.3247 0.7586 0.8486 Si
0.1753 0.7414 0.1514 Si
0.2586 0.1753 0.8486 Si
0.2414 0.6753 0.6514 Si
0.2414 0.3247 0.1514 Si
0.6753 0.7586 0.3486 Si
0.7586 0.3247 0.6514 Si
0.6753 0.2414 0.8486 Si
0.1753 0.2586 0.6514 Si
0.7414 0.8247 0.8486 Si
0.7414 0.1753 0.3486 Si
0.0000 0.0000 0.5000 Sr
0.5000 0.5000 0.5000 Sr
0.5000 0.5000 0.0000 Sr
0.0000 0.0000 0.0000 Sr
```

## Properties
Calculated volume ... 905.80 Å³ per cell
Energy ... -7.774 eV per atom
Space group ... No. 130

4.
The following is a GGA+U calculation of crystalline Ba2Zn2Cr7Ga2Sn2O22 at its relaxed geometry, from the Materials Project database.

POSCAR file:
```
Ba2Zn2Cr7Ga2Sn2O22
1.0
2.9846 -5.1695 0.0000
2.9846 5.1695 0.0000
0.0000 0.0000 14.4899
O Cr Ba Sn Ga Zn
22 7 2 2 2 2
Direct
0.8269 0.6538 0.5924 O
0.4930 0.5070 0.7574 O
0.1503 0.3006 0.0882 O
0.8497 0.6994 0.9118 O
0.0140 0.5070 0.7574 O
0.5070 0.4930 0.2426 O
0.5070 0.0140 0.2426 O
0.1731 0.3462 0.4076 O
0.0000 0.0000 0.7593 O
0.8269 0.1731 0.5924 O
0.6667 0.3333 0.0959 O
0.1731 0.8269 0.4076 O
0.3006 0.1503 0.9118 O
0.4930 0.9860 0.7574 O
0.0000 0.0000 0.2407 O
0.1503 0.8497 0.0882 O
0.8497 0.1503 0.9118 O
0.9860 0.4930 0.2426 O
0.6994 0.8497 0.0882 O
0.3333 0.6667 0.9041 O
0.3462 0.1731 0.5924 O
0.6538 0.8269 0.4076 O
0.8315 0.1685 0.1701 Cr
0.0000 0.0000 0.0000 Cr
0.1685 0.8315 0.8299 Cr
0.1685 0.3370 0.8299 Cr
0.8315 0.6630 0.1701 Cr
0.6630 0.8315 0.8299 Cr
0.3370 0.1685 0.1701 Cr
0.6667 0.3333 0.4250 Ba
0.3333 0.6667 0.5750 Ba
0.3333 0.6667 0.3182 Sn
0.6667 0.3333 0.6818 Sn
0.0000 0.0000 0.6270 Ga
0.0000 0.0000 0.3730 Ga
0.3333 0.6667 0.0445 Zn
0.6667 0.3333 0.9555 Zn
```

## Properties
Magnetization ... 20.00 μB/cell
Calculated volume ... 447.14 Å³ per cell
Energy ... -6.924 eV per atom
Space group ... No. 164

5.
The following is a GGA+U calculation of crystalline Cs2NaMoF6 at its relaxed geometry, from the Materials Project database.

POSCAR file:
```
Cs2NaMoF6
1.0
-5.9178 -0.0027 2.3823
-2.2107 -5.1520 3.0438
-0.8968 0.1655 6.3138
F Na Cs Mo
6 1 2 1
Direct
0.2321 0.7679 0.7679 F
0.2321 0.7679 0.2321 F
0.7679 0.7679 0.2321 F
0.7679 0.2321 0.2321 F
0.7679 0.2321 0.7679 F
0.2321 0.2321 0.7679 F
0.5000 0.5000 0.5000 Na
0.2500 0.2500 0.2500 Cs
0.7500 0.7500 0.7500 Cs
0.0000 0.0000 0.0000 Mo
```

## Properties
Calculated volume ... 183.57 Å³ per cell
Energy ... -4.923 eV per atom
Space group ... No. 225

6.
The following is a GGA+U calculation of crystalline BaSrLaWO6 at its relaxed geometry, from the Materials Project database.

POSCAR file:
```
BaSrLaWO6
1.0
-2.1659 5.3496 1.9000
-4.5179 -0.3989 -4.1106
-4.8280 -4.1516 5.7694
O Ba W La Sr
12 2 2 2 2
Direct
0.7363 0.3079 0.4655 O
0.1858 0.2246 0.5457 O
0.4108 0.9942 0.2251 O
0.3048 0.7345 0.9540 O
0.2316 0.1868 0.9558 O
0.5892 0.0058 0.7749 O
0.0739 0.4742 0.2735 O
0.2637 0.6921 0.5345 O
0.9261 0.5258 0.7265 O
0.8142 0.7754 0.4543 O
0.6952 0.2655 0.0460 O
0.7684 0.8132 0.0442 O
0.4903 0.4643 0.7518 Ba
0.5097 0.5357 0.2482 Ba
0.5000 0.0000 0.0000 W
0.0000 0.5000 0.5000 W
0.5000 0.0000 0.5000 La
0.0000 0.5000 0.0000 La
0.9905 0.0416 0.2529 Sr
0.0095 0.9584 0.7471 Sr
```

## Properties
Magnetization ... 2.00 μB/cell
Calculated volume ... 319.54 Å³ per cell
Energy ... -7.337 eV per atom
Space group ... No. 2
Relative energy among the computed polymorphs ... 0 meV per atom

7.
The following is a GGA+U calculation of crystalline Mg6MnBO8 at its relaxed geometry, from the Materials Project database.

POSCAR file:
```
Mg6MnBO8
1.0
-0.1563 -4.2255 -7.3466
4.2701 0.1206 -0.1602
0.1844 -3.7039 2.1264
O Mg B Mn
8 6 1 1
Direct
0.2683 0.0000 0.0000 O
0.0000 0.0000 0.5000 O
0.2502 0.5000 0.5000 O
0.7498 0.5000 0.5000 O
0.5000 0.5000 0.0000 O
0.0000 0.5000 0.0000 O
0.5000 0.0000 0.5000 O
0.7317 0.0000 0.0000 O
0.5000 0.5000 0.5000 Mg
0.7420 0.0000 0.5000 Mg
0.2580 0.5000 0.0000 Mg
0.0000 0.5000 0.5000 Mg
0.7420 0.5000 0.0000 Mg
0.2580 0.0000 0.5000 Mg
0.5000 0.0000 0.0000 B
0.0000 0.0000 0.0000 Mn
```

## Properties
Magnetization ... 4.89 μB/cell
Calculated volume ... 154.90 Å³ per cell
Energy ... -6.083 eV per atom
Space group ... No. 123
Relative energy among the computed polymorphs ... 0 meV per atom

8.
The following is a GGA+U calculation of crystalline Li2VP4H16O20 at its relaxed geometry, from the Materials Project database.

POSCAR file:
```
Li2VP4H16O20
1.0
-0.0218 9.8478 4.2085
-7.1790 0.1672 -0.4284
-5.9195 -4.1422 9.6620
O H V P Li
40 32 2 8 4
Direct
0.4852 0.1009 0.6425 O
0.2581 0.3526 0.7821 O
0.5621 0.3980 0.3638 O
0.3656 0.6404 0.0805 O
0.5264 0.2684 0.1851 O
0.9736 0.2684 0.6851 O
0.8656 0.3596 0.4195 O
0.3436 0.4965 0.4217 O
0.7419 0.6474 0.2179 O
0.6344 0.3596 0.9195 O
0.6678 0.8938 0.5166 O
0.5148 0.8991 0.3575 O
0.4601 0.9659 0.1402 O
0.8436 0.5035 0.0783 O
0.0148 0.1009 0.1425 O
0.6564 0.5035 0.5783 O
0.2419 0.3526 0.2821 O
0.9601 0.0341 0.3598 O
0.1678 0.1062 0.9834 O
0.6391 0.6945 0.0153 O
0.4736 0.7316 0.8149 O
0.0264 0.7316 0.3149 O
0.0399 0.9659 0.6402 O
0.1867 0.9879 0.3072 O
0.3133 0.9879 0.8072 O
0.8133 0.0121 0.6928 O
0.6867 0.0121 0.1928 O
0.8609 0.6945 0.5153 O
0.0621 0.6020 0.1362 O
0.5399 0.0341 0.8598 O
0.9852 0.8991 0.8575 O
0.8322 0.8938 0.0166 O
0.4379 0.6020 0.6362 O
0.3322 0.1062 0.4834 O
0.1564 0.4965 0.9217 O
0.9379 0.3980 0.8638 O
0.1344 0.6404 0.5805 O
0.7581 0.6474 0.7179 O
0.1391 0.3055 0.4847 O
0.3609 0.3055 0.9847 O
0.1694 0.5303 0.6576 H
0.0396 0.6672 0.1919 H
0.9058 0.2598 0.3950 H
0.5864 0.9102 0.9242 H
0.6224 0.5060 0.3109 H
0.7909 0.8631 0.7107 H
0.0669 0.4821 0.8955 H
0.4604 0.6672 0.6919 H
0.1081 0.1006 0.0545 H
0.4331 0.4821 0.3955 H
0.2909 0.1369 0.7893 H
0.9136 0.9102 0.4242 H
0.8306 0.4697 0.3424 H
0.7091 0.8631 0.2107 H
0.8919 0.8994 0.9455 H
0.4136 0.0898 0.0758 H
0.9604 0.3328 0.8081 H
0.2091 0.1369 0.2893 H
0.5396 0.3328 0.3081 H
0.6081 0.8994 0.4455 H
0.6694 0.4697 0.8424 H
0.5942 0.2598 0.8950 H
0.1224 0.4940 0.1891 H
0.8776 0.5060 0.8109 H
0.3306 0.5303 0.1576 H
0.3919 0.1006 0.5545 H
0.3776 0.4940 0.6891 H
0.0864 0.0898 0.5758 H
0.0942 0.7402 0.6050 H
0.5669 0.5179 0.6045 H
0.9331 0.5179 0.1045 H
0.4058 0.7402 0.1050 H
0.5000 0.5000 0.0000 V
0.0000 0.5000 0.5000 V
0.2599 0.3175 0.4160 P
0.2401 0.3175 0.9160 P
0.5446 0.0387 0.2234 P
0.0446 0.9613 0.2766 P
0.4554 0.9613 0.7766 P
0.7599 0.6825 0.0840 P
0.9554 0.0387 0.7234 P
0.7401 0.6825 0.5840 P
0.8407 0.2024 0.0464 Li
0.6593 0.2024 0.5464 Li
0.1593 0.7976 0.9536 Li
0.3407 0.7976 0.4536 Li
```

## Properties
Magnetization ... 6.00 μB/cell
Calculated volume ... 837.37 Å³ per cell
Energy ... -5.899 eV per atom
Space group ... No. 14